Computed, not measured: a relaxed structure of YbFe2 at the r²SCAN level of DFT.

Summary:
space group	P6_3/mmc, No. 194
energy relative to the elements	-0.051	eV per atom

Cell lengths 5.1289, 5.1304, 8.3833 Å; angles 90.00, 90.00, 119.99 degrees
Sites, in units of the cell vectors:
Yb: 0.3334 0.6667 0.4370
Yb: 0.6666 0.3333 0.5630
Yb: 0.6666 0.3333 0.9370
Yb: 0.3334 0.6667 0.0630
Fe: 0.0000 0.0000 0.5000
Fe: 0.0000 0.0000 0.0000
Fe: 0.8369 0.1634 0.2500
Fe: 0.8369 0.6738 0.2500
Fe: 0.3265 0.1634 0.2500
Fe: 0.1631 0.8366 0.7500
Fe: 0.1631 0.3262 0.7500
Fe: 0.6735 0.8366 0.7500

---

Computed, not measured: a relaxed structure of Zr3Fe at the r²SCAN level of DFT.

Summary:
space group	Cmcm, No. 63
energy relative to the elements	0.018	eV per atom

Cell lengths 3.2627, 5.7017, 8.9568 Å; angles 90.00, 90.00, 106.63 degrees
Sites, in units of the cell vectors:
Zr: 0.4193 0.8386 0.7498
Zr: 0.5807 0.1615 0.2502
Zr: 0.1384 0.2768 0.9379
Zr: 0.8616 0.7232 0.0619
Zr: 0.8616 0.7232 0.4382
Zr: 0.1384 0.2768 0.5619
Fe: 0.7327 0.4655 0.7498
Fe: 0.2673 0.5345 0.2502

---

Computed, not measured: a relaxed structure of Zr6Fe23 at the r²SCAN level of DFT.

Summary:
space group	Fm-3m, No. 225
energy relative to the elements	-0.128	eV per atom

Cell lengths 8.3012, 8.3008, 8.3016 Å; angles 60.00, 60.00, 60.01 degrees
Sites, in units of the cell vectors:
Zr: 0.7954 0.2046 0.2046
Zr: 0.7955 0.7955 0.2045
Zr: 0.7955 0.2045 0.7955
Zr: 0.2045 0.2045 0.7955
Zr: 0.2045 0.7955 0.2045
Zr: 0.2046 0.7954 0.7954
Fe: 0.8267 0.5198 0.8267
Fe: 0.1733 0.4802 0.1733
Fe: 0.0000 0.5000 0.0000
Fe: 0.3784 0.3785 0.3784
Fe: 0.1733 0.1733 0.4802
Fe: 0.1354 0.6216 0.6215
Fe: 0.5000 0.0000 0.0000
Fe: 0.8267 0.8267 0.8267
Fe: 0.5199 0.8267 0.8267
Fe: 0.6216 0.1354 0.6216
Fe: 0.5000 0.5000 0.5000
Fe: 0.4801 0.1733 0.1733
Fe: 0.8646 0.3784 0.3785
Fe: 0.1733 0.1733 0.1733
Fe: 0.5000 0.0000 0.5000
Fe: 0.0000 0.0000 0.5000
Fe: 0.6215 0.6215 0.1354
Fe: 0.8267 0.8267 0.5198
Fe: 0.6216 0.6215 0.6216
Fe: 0.3784 0.8646 0.3784
Fe: 0.5000 0.5000 0.0000
Fe: 0.3785 0.3785 0.8646
Fe: 0.0000 0.5000 0.5000

---

Computed, not measured: a relaxed structure of ZrFe2 at the r²SCAN level of DFT.

Summary:
space group	Fd-3m, No. 227
energy relative to the elements	-0.200	eV per atom

Cell lengths 5.0169, 5.0169, 5.0169 Å; angles 60.00, 60.00, 60.00 degrees
Sites, in units of the cell vectors:
Zr: 0.0000 0.0000 0.0000
Zr: 0.2500 0.2500 0.2500
Fe: 0.6250 0.6250 0.1250
Fe: 0.6250 0.1250 0.6250
Fe: 0.6250 0.6250 0.6250
Fe: 0.1250 0.6250 0.6250

---

Computed, not measured: a relaxed structure of ZrFe2 at the r²SCAN level of DFT.

Summary:
space group	P6_3/mmc, No. 194
energy relative to the elements	-0.198	eV per atom

Cell lengths 5.0230, 5.0230, 16.4264 Å; angles 90.00, 90.00, 120.00 degrees
Sites, in units of the cell vectors:
Zr: 0.0000 0.0000 0.5947
Zr: 0.0000 0.0000 0.4054
Zr: 0.0000 0.0000 0.0946
Zr: 0.0000 0.0000 0.9054
Zr: 0.6667 0.3333 0.3438
Zr: 0.3333 0.6667 0.6562
Zr: 0.3333 0.6667 0.8439
Zr: 0.6667 0.3333 0.1561
Fe: 0.6667 0.3333 0.6237
Fe: 0.3333 0.6667 0.3763
Fe: 0.3333 0.6667 0.1235
Fe: 0.6667 0.3333 0.8765
Fe: 0.5000 0.0000 0.5000
Fe: 0.5000 0.5000 0.5000
Fe: 0.0000 0.5000 0.5000
Fe: 0.5000 0.0000 0.0000
Fe: 0.5000 0.5000 0.0000
Fe: 0.0000 0.5000 0.0000
Fe: 0.8334 0.6669 0.7501
Fe: 0.8334 0.1666 0.7501
Fe: 0.3331 0.1666 0.7501
Fe: 0.1666 0.3331 0.2499
Fe: 0.1666 0.8334 0.2499
Fe: 0.6669 0.8334 0.2499

---

Computed, not measured: a relaxed structure of Gd3Ga at the r²SCAN level of DFT.

Summary:
space group	Pm-3m, No. 221
energy relative to the elements	-0.303	eV per atom

Cell lengths 4.7590, 4.7591, 4.7590 Å; angles 90.00, 90.00, 90.00 degrees
Sites, in units of the cell vectors:
Gd: 0.0000 0.5000 0.5000
Gd: 0.5000 0.0000 0.5000
Gd: 0.5000 0.5000 0.0000
Ga: 0.0000 0.0000 0.0000

---

Computed, not measured: a relaxed structure of GdGa at the r²SCAN level of DFT.

Summary:
space group	Cmcm, No. 63
energy relative to the elements	-0.704	eV per atom

Cell lengths 4.1430, 4.2544, 5.9326 Å; angles 111.01, 90.00, 90.00 degrees
Sites, in units of the cell vectors:
Gd: 0.2500 0.8559 0.7119
Gd: 0.7500 0.1441 0.2881
Ga: 0.2500 0.5697 0.1393
Ga: 0.7500 0.4303 0.8607

---

Computed, not measured: a relaxed structure of GdGaI at the r²SCAN level of DFT.

Summary:
space group	P-3m1, No. 164
energy relative to the elements	-1.195	eV per atom

Cell lengths 4.2144, 4.2144, 11.8093 Å; angles 90.00, 90.00, 120.00 degrees
Sites, in units of the cell vectors:
Gd: 0.0000 0.0000 0.1724
Gd: 0.0000 0.0000 0.8276
Ga: 0.3333 0.6667 0.0265
Ga: 0.6667 0.3333 0.9735
I: 0.3333 0.6667 0.6565
I: 0.6667 0.3333 0.3435